Computed, not measured: crystalline NpAgSeO5 at its relaxed geometry at the PBE-GGA level of DFT.

Cell: 7.212 8.455 8.459 Å, 89.35 77.35 77.09°
Space group P-1 (No. 2)
One atom of each set of equivalent atoms:
Np1 0.004 0.244 0.243 [2 per cell]
Np2 0.113 0.718 0.237 [2 per cell]
Ag1 0.311 0.975 0.492 [2 per cell]
Ag2 0.383 0.905 0.900 [2 per cell]
Se1 0.349 0.288 0.847 [2 per cell]
Se2 0.406 0.369 0.383 [2 per cell]
O1 0.007 0.533 0.777 [2 per cell]
O2 0.022 0.017 0.271 [2 per cell]
O3 0.088 0.706 0.464 [2 per cell]
O4 0.134 0.735 0.010 [2 per cell]
O5 0.238 0.210 0.712 [2 per cell]
O6 0.281 0.173 0.015 [2 per cell]
O7 0.295 0.215 0.341 [2 per cell]
O8 0.353 0.745 0.673 [2 per cell]
O9 0.386 0.489 0.221 [2 per cell]
O10 0.412 0.820 0.221 [2 per cell]

Properties
Energy above the most stable polymorph in this dataset in meV per atom: 0


Computed, not measured: crystalline CsKMg14O15 at its relaxed geometry at the PBE-GGA level of DFT.

Cell: 4.209 8.536 9.990 Å, 90.00 90.00 90.00°
Space group Pmm2 (No. 25)
One atom of each set of equivalent atoms:
Cs1 0.000 0.000 0.000 [1 per cell]
K1 0.000 0.500 0.437 [1 per cell]
Mg1 0.000 0.000 0.428 [1 per cell]
Mg2 0.000 0.245 0.676 [2 per cell]
Mg3 0.000 0.286 0.164 [2 per cell]
Mg4 0.000 0.500 0.893 [1 per cell]
Mg5 0.500 0.000 0.206 [1 per cell]
Mg6 0.500 0.000 0.645 [1 per cell]
Mg7 0.500 0.242 0.899 [2 per cell]
Mg8 0.500 0.257 0.397 [2 per cell]
Mg9 0.500 0.500 0.121 [1 per cell]
Mg10 0.500 0.500 0.685 [1 per cell]
O1 0.000 0.000 0.624 [1 per cell]
O2 0.000 0.212 0.348 [2 per cell]
O3 0.000 0.265 0.877 [2 per cell]
O4 0.000 0.500 0.104 [1 per cell]
O5 0.000 0.500 0.682 [1 per cell]
O6 0.500 0.000 0.401 [1 per cell]
O7 0.500 0.000 0.845 [1 per cell]
O8 0.500 0.222 0.123 [2 per cell]
O9 0.500 0.265 0.615 [2 per cell]
O10 0.500 0.500 0.323 [1 per cell]
O11 0.500 0.500 0.899 [1 per cell]

Properties
Energy above the most stable polymorph in this dataset in meV per atom: 0


Computed, not measured: crystalline Mg14CoSb at its relaxed geometry at the PBE-GGA level of DFT.

Cell: 6.2386 6.2386 10.2532 Å, 90.00 90.00 120.00°
Space group P-6m2 (No. 187)
One atom of each set of equivalent atoms:
Mg1 0.0000 0.0000 0.2491 [2 per cell]
Mg2 0.0102 0.5051 0.2677 [6 per cell]
Mg3 0.3288 0.1644 0.5000 [3 per cell]
Mg4 0.3338 0.1669 0.0000 [3 per cell]
Co1 0.3333 0.6667 0.5000 [1 per cell]
Sb1 0.3333 0.6667 0.0000 [1 per cell]

Properties
Energy above the most stable polymorph in this dataset in meV per atom: 3


Computed, not measured: crystalline NaZnBr3O5 at its relaxed geometry at the PBE-GGA level of DFT.

Cell: 6.4742 6.4742 18.5198 Å, 90.00 90.00 120.00°
Space group R3 (No. 146, hexagonal axes)
One atom of each set of equivalent atoms:
Na1 0.0000 0.0000 0.0000 [3 per cell]
Zn1 0.0000 0.0000 0.5396 [3 per cell]
Br1 0.0027 0.6405 0.5265 [9 per cell]
O1 0.0000 0.0000 0.2636 [3 per cell]
O2 0.0000 0.0000 0.7048 [3 per cell]
O3 0.1350 0.4478 0.3550 [9 per cell]


Computed, not measured: crystalline ZrTi2Ga4 at its relaxed geometry at the PBE-GGA level of DFT.

Cell: 6.578 6.578 5.467 Å, 90.00 90.00 90.00°
Space group I4/mmm (No. 139)
One atom of each set of equivalent atoms:
Zr1 0.000 0.000 0.000 [2 per cell]
Ti1 0.000 0.500 0.250 [4 per cell]
Ga1 0.196 0.196 0.500 [8 per cell]


Computed, not measured: crystalline Mg14GaCo at its relaxed geometry at the PBE-GGA level of DFT.

Cell: 9.926 6.276 10.783 Å, 90.00 90.00 90.00°
Space group Amm2 (No. 38)
One atom of each set of equivalent atoms:
Mg1 0.000 0.000 0.000 [2 per cell]
Mg2 0.000 0.000 0.499 [2 per cell]
Mg3 0.000 0.248 0.254 [4 per cell]
Mg4 0.248 0.000 0.669 [4 per cell]
Mg5 0.257 0.000 0.165 [4 per cell]
Mg6 0.276 0.243 0.925 [8 per cell]
Mg7 0.500 0.249 0.236 [4 per cell]
Ga1 0.500 0.000 0.506 [2 per cell]
Co1 0.500 0.000 0.012 [2 per cell]

Properties
Energy above the most stable polymorph in this dataset in meV per atom: 5


Computed, not measured: crystalline CaO at its relaxed geometry at the PBE-GGA level of DFT.

Cell: 11.305 12.130 12.398 Å, 98.18 96.66 90.59°
Space group P1 (No. 1)
One atom of each set of equivalent atoms:
Ca1 0.000 0.000 0.000 [1 per cell]
Ca2 0.008 0.273 0.602 [1 per cell]
Ca3 0.029 0.751 0.379 [1 per cell]
Ca4 0.031 0.555 0.635 [1 per cell]
Ca5 0.048 0.416 0.393 [1 per cell]
Ca6 0.066 0.491 0.930 [1 per cell]
Ca7 0.144 0.009 0.544 [1 per cell]
Ca8 0.153 0.164 0.910 [1 per cell]
Ca9 0.172 0.729 0.126 [1 per cell]
Ca10 0.190 0.866 0.796 [1 per cell]
Ca11 0.195 0.074 0.246 [1 per cell]
Ca12 0.209 0.332 0.169 [1 per cell]
Ca13 0.221 0.438 0.728 [1 per cell]
Ca14 0.255 0.604 0.436 [1 per cell]
Ca15 0.274 0.288 0.446 [1 per cell]
Ca16 0.305 0.656 0.914 [1 per cell]
Ca17 0.326 0.117 0.742 [1 per cell]
Ca18 0.341 0.395 0.960 [1 per cell]
Ca19 0.353 0.895 0.058 [1 per cell]
Ca20 0.395 0.815 0.335 [1 per cell]
Ca21 0.397 0.575 0.162 [1 per cell]
Ca22 0.402 0.175 0.079 [1 per cell]
Ca23 0.456 0.856 0.608 [1 per cell]
Ca24 0.460 0.115 0.457 [1 per cell]
Ca25 0.464 0.618 0.709 [1 per cell]
Ca26 0.466 0.358 0.312 [1 per cell]
Ca27 0.477 0.958 0.872 [1 per cell]
Ca28 0.517 0.354 0.677 [1 per cell]
Ca29 0.576 0.594 0.474 [1 per cell]
Ca30 0.597 0.220 0.905 [1 per cell]
Ca31 0.598 0.022 0.231 [1 per cell]
Ca32 0.601 0.755 0.994 [1 per cell]
Ca33 0.665 0.094 0.670 [1 per cell]
Ca34 0.669 0.690 0.248 [1 per cell]
Ca35 0.705 0.452 0.965 [1 per cell]
Ca36 0.711 0.309 0.472 [1 per cell]
Ca37 0.713 0.880 0.454 [1 per cell]
Ca38 0.725 0.864 0.795 [1 per cell]
Ca39 0.726 0.041 0.027 [1 per cell]
Ca40 0.728 0.293 0.211 [1 per cell]
Ca41 0.790 0.492 0.693 [1 per cell]
Ca42 0.833 0.550 0.401 [1 per cell]
Ca43 0.853 0.823 0.142 [1 per cell]
Ca44 0.874 0.289 0.818 [1 per cell]
Ca45 0.894 0.787 0.614 [1 per cell]
Ca46 0.902 0.559 0.136 [1 per cell]
Ca47 0.907 0.071 0.335 [1 per cell]
Ca48 0.940 0.042 0.714 [1 per cell]
Ca49 0.947 0.283 0.058 [1 per cell]
Ca50 0.970 0.748 0.894 [1 per cell]
O1 0.015 0.409 0.752 [1 per cell]
O2 0.047 0.602 0.466 [1 per cell]
O3 0.112 0.132 0.412 [1 per cell]
O4 0.123 0.136 0.697 [1 per cell]
O5 0.135 0.147 0.093 [1 per cell]
O6 0.151 0.339 0.982 [1 per cell]
O7 0.161 0.385 0.557 [1 per cell]
O8 0.182 0.802 0.964 [1 per cell]
O9 0.195 0.624 0.749 [1 per cell]
O10 0.212 0.724 0.314 [1 per cell]
O11 0.235 0.564 0.033 [1 per cell]
O12 0.245 0.426 0.343 [1 per cell]
O13 0.296 0.936 0.662 [1 per cell]
O14 0.297 0.012 0.914 [1 per cell]
O15 0.323 0.936 0.228 [1 per cell]
O16 0.347 0.197 0.283 [1 per cell]
O17 0.398 0.227 0.903 [1 per cell]
O18 0.398 0.378 0.135 [1 per cell]
O19 0.406 0.479 0.811 [1 per cell]
O20 0.415 0.680 0.548 [1 per cell]
O21 0.434 0.719 0.065 [1 per cell]
O22 0.471 0.155 0.643 [1 per cell]
O23 0.495 0.653 0.314 [1 per cell]
O24 0.496 0.300 0.483 [1 per cell]
O25 0.520 0.939 0.465 [1 per cell]
O26 0.534 0.786 0.801 [1 per cell]
O27 0.553 0.936 0.041 [1 per cell]
O28 0.590 0.159 0.123 [1 per cell]
O29 0.603 0.513 0.635 [1 per cell]
O30 0.643 0.044 0.841 [1 per cell]
O31 0.661 0.430 0.345 [1 per cell]
O32 0.679 0.341 0.797 [1 per cell]
O33 0.705 0.620 0.072 [1 per cell]
O34 0.710 0.877 0.266 [1 per cell]
O35 0.736 0.161 0.344 [1 per cell]
O36 0.741 0.701 0.479 [1 per cell]
O37 0.747 0.284 0.030 [1 per cell]
O38 0.760 0.929 0.642 [1 per cell]
O39 0.809 0.861 0.965 [1 per cell]
O40 0.834 0.189 0.643 [1 per cell]
O41 0.869 0.674 0.280 [1 per cell]
O42 0.882 0.420 0.526 [1 per cell]
O43 0.887 0.655 0.729 [1 per cell]
O44 0.897 0.440 0.970 [1 per cell]
O45 0.908 0.015 0.158 [1 per cell]
O46 0.936 0.389 0.228 [1 per cell]
O47 0.946 0.138 0.897 [1 per cell]
O48 0.982 0.901 0.503 [1 per cell]
O49 0.986 0.700 0.069 [1 per cell]
O50 0.995 0.891 0.793 [1 per cell]


Computed, not measured: crystalline Cs2ErCuCl6 at its relaxed geometry at the PBE-GGA level of DFT.

Cell: 10.498 10.498 10.498 Å, 90.00 90.00 90.00°
Space group Fm-3m (No. 225)
One atom of each set of equivalent atoms:
Cs1 0.250 0.250 0.250 [8 per cell]
Er1 0.000 0.000 0.000 [4 per cell]
Cu1 0.000 0.000 0.500 [4 per cell]
Cl1 0.000 0.000 0.251 [24 per cell]


Number 1: energy of formation -2042 meV per atom, DFT total energy -0.5229 Ry/atom. Number 2: energy of formation -2581 meV per atom, DFT total energy -0.3991 Ry/atom. Number 3: energy of formation 22 meV per atom, DFT total energy -0.1520 Ry/atom. Number 4: energy of formation 95 meV per atom, DFT total energy -0.2299 Ry/atom. Number 5: energy of formation -520 meV per atom, DFT total energy -0.4209 Ry/atom. Number 6: energy of formation 47 meV per atom, DFT total energy -0.1460 Ry/atom. Number 7: energy of formation -2965 meV per atom, DFT total energy -0.4482 Ry/atom. Number 8: energy of formation -2161 meV per atom, DFT total energy -0.2902 Ry/atom.